# BaCaEuNbO6, relaxed, DFT PBE-GGA
data_BaCaEuNbO6
_chemical_formula_sum 'Ba4 Ca4 Eu4 Nb4 O24'
_cell_length_a 8.490
_cell_length_b 8.490
_cell_length_c 8.490
_cell_angle_alpha 90.00
_cell_angle_beta 90.00
_cell_angle_gamma 90.00
_space_group_name_H-M_alt 'F -4 3 m'
_space_group_IT_number 216
_space_group_name_Hall 'F -4 2 3'
loop_
_atom_site_label
_atom_site_fract_x
_atom_site_fract_y
_atom_site_fract_z
_atom_site_occupancy
Ba1 0.000 0.000 0.000 1
Ca1 0.250 0.250 0.250 1
Eu1 0.000 0.000 0.500 1
Nb1 0.250 0.250 0.750 1
O1 0.014 0.250 0.750 1
# Energy above the lowest structure with this stoichiometry = 112.8 meV per atom
# Formation energy from the elements = -3087 meV per atom



# Na3Ce, relaxed, DFT PBE-GGA
data_Na3Ce
_chemical_formula_sum 'Na3 Ce1'
_cell_length_a 5.270
_cell_length_b 5.270
_cell_length_c 5.270
_cell_angle_alpha 90.00
_cell_angle_beta 90.00
_cell_angle_gamma 90.00
_space_group_name_H-M_alt 'P m -3 m'
_space_group_IT_number 221
_space_group_name_Hall '-P 4 2 3'
loop_
_atom_site_label
_atom_site_fract_x
_atom_site_fract_y
_atom_site_fract_z
_atom_site_occupancy
Na1 0.000 0.000 0.500 1
Ce1 0.500 0.500 0.500 1
# Energy above the lowest structure with this stoichiometry = 0.0 meV per atom
# Formation energy from the elements = 441 meV per atom



# HfMg14TiO16, relaxed, DFT PBE-GGA
data_HfMg14TiO16
_chemical_formula_sum 'Hf1 Mg14 Ti1 O16'
_cell_length_a 4.311
_cell_length_b 8.630
_cell_length_c 8.683
_cell_angle_alpha 90.00
_cell_angle_beta 90.00
_cell_angle_gamma 90.00
_space_group_name_H-M_alt 'P m m m'
_space_group_IT_number 47
_space_group_name_Hall '-P 2 2'
loop_
_atom_site_label
_atom_site_fract_x
_atom_site_fract_y
_atom_site_fract_z
_atom_site_occupancy
Hf1 0.000 0.000 0.000 1
Mg1 0.000 0.000 0.500 1
Mg2 0.000 0.255 0.256 1
Mg3 0.000 0.500 0.500 1
Mg4 0.500 0.000 0.257 1
Mg5 0.500 0.251 0.500 1
Mg6 0.500 0.257 0.000 1
Mg7 0.500 0.500 0.252 1
Ti1 0.000 0.500 0.000 1
O1 0.000 0.000 0.256 1
O2 0.000 0.246 0.000 1
O3 0.000 0.249 0.500 1
O4 0.000 0.500 0.260 1
O5 0.500 0.000 0.000 1
O6 0.500 0.000 0.500 1
O7 0.500 0.250 0.249 1
O8 0.500 0.500 0.000 1
O9 0.500 0.500 0.500 1
# Energy above the lowest structure with this stoichiometry = 0.0 meV per atom
# Formation energy from the elements = -2887 meV per atom



# Cs3Nb9Te4O32, relaxed, DFT PBE-GGA
data_Cs3Nb9Te4O32
_chemical_formula_sum 'Cs12 Nb36 Te16 O128'
_cell_length_a 37.820
_cell_length_b 10.881
_cell_length_c 7.535
_cell_angle_alpha 90.00
_cell_angle_beta 90.00
_cell_angle_gamma 90.00
_space_group_name_H-M_alt 'C m c m'
_space_group_IT_number 63
_space_group_name_Hall '-C 2c 2'
loop_
_atom_site_label
_atom_site_fract_x
_atom_site_fract_y
_atom_site_fract_z
_atom_site_occupancy
Cs1 0.000 0.134 0.250 1
Cs2 0.102 0.353 0.250 1
Nb1 0.000 0.500 0.000 1
Nb2 0.048 0.259 0.750 1
Nb3 0.094 0.000 0.000 1
Nb4 0.150 0.258 0.750 1
Nb5 0.198 0.500 0.000 1
Te1 0.183 0.000 0.000 1
Te2 0.249 0.266 0.750 1
O1 0.000 0.190 0.750 1
O2 0.000 0.443 0.250 1
O3 0.038 0.375 0.564 1
O4 0.062 0.128 0.561 1
O5 0.099 0.056 0.250 1
O6 0.102 0.297 0.750 1
O7 0.143 0.112 0.563 1
O8 0.163 0.374 0.565 1
O9 0.185 0.082 0.250 1
O10 0.200 0.447 0.250 1
O11 0.203 0.189 0.750 1
O12 0.238 0.374 0.554 1
# Formation energy from the elements = -2620 meV per atom